Record 1
# MgScWS4

An optimized crystal structure of MgScWS4 (PBE-GGA, Materials Project). Values from VASP.

Summary:
The calculation puts the formation energy at -1.358 eV/atom. As for the total moment: 2.712 μB per formula unit. For the calculated volume, the calculation gives 293 Å³ per cell. The crystal system is orthorhombic.

```
&SYSTEM
  ibrav = 0, nat = 14, ntyp = 4
/
ATOMIC_SPECIES
Mg 24.30 Mg.upf
Sc 44.96 Sc.upf
W 183.84 W.upf
S 32.06 S.upf
CELL_PARAMETERS angstrom
6.452 0.000 3.725
2.179 6.092 3.676
0.006 -0.057 7.441
ATOMIC_POSITIONS crystal
Mg 0.873 0.877 0.877
Mg 0.127 0.123 0.123
Sc 0.500 0.500 0.500
Sc 0.000 0.500 0.500
W 0.500 0.500 0.000
W 0.500 0.000 0.500
S 0.725 0.748 0.748
S 0.262 0.251 0.725
S 0.262 0.725 0.251
S 0.721 0.252 0.252
S 0.738 0.275 0.749
S 0.279 0.748 0.748
S 0.275 0.252 0.252
S 0.738 0.749 0.275
```

---

Record 2
# Mg2SeS

An optimized crystal structure of Mg2SeS (PBE-GGA, Materials Project). Values from VASP.

Summary:
The calculation puts the formation energy at -1.447 eV/atom. For the calculated volume, the calculation gives 100 Å³ per cell. The crystal system is tetragonal.

```
&SYSTEM
  ibrav = 0, nat = 4, ntyp = 3
/
ATOMIC_SPECIES
Mg 24.30 Mg.upf
Se 78.96 Se.upf
S 32.06 S.upf
CELL_PARAMETERS angstrom
0.339 3.960 -1.140
5.770 -0.682 -0.651
-0.574 -1.087 -3.948
ATOMIC_POSITIONS crystal
Mg 0.000 0.013 0.000
Mg 0.500 0.487 0.500
Se 0.500 0.750 0.000
S 0.000 0.250 0.500
```

---

Record 3
# Sm2MgS4

An optimized crystal structure of Sm2MgS4 (PBE-GGA, Materials Project). Values from VASP.

Summary:
The calculation puts the formation energy at -2.078 eV/atom. As for the total moment: 0.002 μB per formula unit. For the calculated volume, the calculation gives 697 Å³ per cell. The crystal system is orthorhombic. Its energy relative to the lowest polymorph listed for this composition is 0.060 eV per atom.

```
&SYSTEM
  ibrav = 0, nat = 28, ntyp = 3
/
ATOMIC_SPECIES
Sm 150.36 Sm.upf
Mg 24.30 Mg.upf
S 32.06 S.upf
CELL_PARAMETERS angstrom
3.931 0.000 0.000
0.000 12.839 0.000
0.000 0.000 13.812
ATOMIC_POSITIONS crystal
Sm 0.250 0.121 0.074
Sm 0.750 0.879 0.926
Sm 0.750 0.379 0.574
Sm 0.250 0.621 0.426
Sm 0.250 0.134 0.707
Sm 0.750 0.866 0.293
Sm 0.750 0.366 0.207
Sm 0.250 0.634 0.793
Mg 0.750 0.108 0.459
Mg 0.250 0.892 0.541
Mg 0.250 0.392 0.959
Mg 0.750 0.608 0.041
S 0.750 0.003 0.614
S 0.250 0.997 0.386
S 0.250 0.497 0.114
S 0.750 0.503 0.886
S 0.250 0.025 0.885
S 0.750 0.975 0.115
S 0.750 0.475 0.385
S 0.250 0.525 0.615
S 0.250 0.229 0.246
S 0.750 0.771 0.754
S 0.750 0.271 0.746
S 0.250 0.729 0.254
S 0.750 0.267 0.016
S 0.250 0.733 0.984
S 0.250 0.233 0.516
S 0.750 0.767 0.484
```